No. 1
VASP calculation (PBE-GGA) on crystalline Rb3Mo2Cl8 at its relaxed geometry.

Lattice parameters (Å, degrees): 17.597 7.366 7.366 120.68 90.00 90.00
Atoms (fractional coordinates):
Rb1 0.065 0.167 0.833
Rb2 0.250 0.503 0.500
Rb3 0.435 0.167 0.833
Rb4 0.565 0.833 0.167
Rb5 0.750 0.500 0.503
Rb6 0.935 0.833 0.167
Mo1 0.174 0.854 0.177
Mo2 0.326 0.854 0.177
Mo3 0.674 0.177 0.854
Mo4 0.826 0.177 0.854
Cl1 0.085 0.152 0.319
Cl2 0.107 0.646 0.850
Cl3 0.107 0.669 0.319
Cl4 0.250 0.021 0.013
Cl5 0.250 0.046 0.510
Cl6 0.393 0.646 0.850
Cl7 0.393 0.669 0.319
Cl8 0.415 0.152 0.319
Cl9 0.585 0.319 0.152
Cl10 0.607 0.319 0.669
Cl11 0.607 0.850 0.646
Cl12 0.750 0.013 0.021
Cl13 0.750 0.510 0.046
Cl14 0.893 0.319 0.669
Cl15 0.893 0.850 0.646
Cl16 0.915 0.319 0.152

Calculated volume ... 31.58 Å³ per atom
Formation energy ... -1.64 eV/atom
Space-group type ... Ama2 (40)
Raw total energy ... -111.54 eV/cell

***

No. 2
VASP calculation (PBE-GGA) on crystalline Be3N2 at its relaxed geometry.

Lattice parameters (Å, degrees): 2.848 2.848 14.633 90.00 90.00 120.00
Atoms (fractional coordinates):
Be1 0.000 0.000 0.000
Be2 0.000 0.000 0.229
Be3 0.000 0.000 0.770
Be4 0.333 0.667 0.437
Be5 0.333 0.667 0.667
Be6 0.333 0.667 0.895
Be7 0.667 0.333 0.103
Be8 0.667 0.333 0.333
Be9 0.667 0.333 0.562
N1 0.000 0.000 0.115
N2 0.000 0.000 0.619
N3 0.333 0.667 0.286
N4 0.333 0.667 0.782
N5 0.667 0.333 0.449
N6 0.667 0.333 0.953

Calculated volume ... 6.85 Å³ per atom
Formation energy ... -1.17 eV/atom
Space-group type ... R3m (160)
ΔE to the lowest computed polymorph ... 48.8 meV/atom
Raw total energy ... -99.05 eV/cell